## Li3V3P8O29 (PBE+U)

Data for an optimized crystal structure of Li3V3P8O29.

Output
Crystal system: triclinic
Polymorph energy (0 for the lowest one), eV/atom: 0.0119
Volume, Å³/atom: 13.68
Energy of formation from the pure elements, eV per atom: -2.52
E, eV/atom: -7.050

a = 9.756 Å, b = 9.771 Å, c = 14.232 Å
α = 89.68°, β = 89.98°, γ = 60.14°
Sites, in units of the cell vectors:
Li 0.000 0.000 0.000
Li 0.012 0.450 0.503
Li 0.138 0.470 0.002
Li 0.577 0.444 0.550
Li 0.607 0.861 0.000
Li 0.894 0.828 0.450
V 0.342 0.782 0.691
V 0.354 0.340 0.197
V 0.477 0.777 0.199
V 0.483 0.203 0.694
V 0.913 0.212 0.197
V 0.915 0.347 0.698
P 0.001 0.006 0.784
P 0.003 0.462 0.287
P 0.136 0.860 0.288
P 0.148 0.460 0.787
P 0.225 0.555 0.605
P 0.229 0.691 0.104
P 0.245 0.115 0.573
P 0.247 0.111 0.076
P 0.577 0.445 0.811
P 0.583 0.443 0.313
P 0.600 0.859 0.785
P 0.609 0.000 0.287
P 0.686 0.092 0.103
P 0.694 0.689 0.602
P 0.826 0.089 0.603
P 0.826 0.551 0.106
O 0.002 0.034 0.272
O 0.002 0.436 0.774
O 0.006 0.302 0.269
O 0.011 0.158 0.761
O 0.095 0.264 0.614
O 0.096 0.113 0.117
O 0.119 0.788 0.375
O 0.120 0.565 0.526
O 0.123 0.771 0.196
O 0.132 0.577 0.703
O 0.147 0.783 0.019
O 0.154 0.526 0.879
O 0.171 0.863 0.773
O 0.173 0.433 0.272
O 0.244 0.122 0.469
O 0.247 0.113 0.972
O 0.249 0.964 0.617
O 0.252 0.258 0.119
O 0.257 0.520 0.105
O 0.259 0.695 0.606
O 0.296 0.859 0.274
O 0.297 0.301 0.764
O 0.389 0.402 0.611
O 0.389 0.685 0.124
O 0.392 0.116 0.619
O 0.394 0.960 0.119
O 0.433 0.445 0.270
O 0.437 0.596 0.763
O 0.440 0.869 0.760
O 0.450 0.160 0.272
O 0.533 0.253 0.122
O 0.539 0.680 0.610
O 0.568 0.866 0.274
O 0.572 0.302 0.766
O 0.575 0.029 0.774
O 0.581 0.446 0.915
O 0.584 0.442 0.417
O 0.584 0.591 0.270
O 0.650 0.126 0.610
O 0.656 0.694 0.106
O 0.665 0.786 0.877
O 0.675 0.010 0.018
O 0.698 0.985 0.374
O 0.712 0.986 0.196
O 0.715 0.761 0.700
O 0.716 0.771 0.520
O 0.730 0.294 0.270
O 0.732 0.436 0.765
O 0.818 0.251 0.612
O 0.819 0.396 0.124
O 0.830 0.119 0.104
O 0.834 0.513 0.606
O 0.902 0.576 0.202
O 0.903 0.990 0.700
O 0.907 0.990 0.521
O 0.922 0.541 0.023
O 0.927 0.017 0.877
O 0.935 0.532 0.379